No. 1
# NbTeN

An optimized crystal structure of NbTeN (PBE, the Materials Project database).

Lattice parameters (Å, degrees): 3.5843 3.5843 9.5461 90.00 90.00 90.00
Fractional coordinates of all 6 atoms:
Te: 0.5000 0.0000 0.6986
Te: 0.0000 0.5000 0.3014
Nb: 0.5000 0.0000 0.1144
N: 0.0000 0.0000 0.0000
Nb: 0.0000 0.5000 0.8856
N: 0.5000 0.5000 0.0000

Summary:
Total energy after the MP2020 corrections, eV/atom: -7.82
E_form, kJ per mole of atoms: -60

***

No. 2
# LuPaOs2

An optimized crystal structure of LuPaOs2 (PBE, the Materials Project database).

Lattice parameters (Å, degrees): 4.8270 4.8270 4.8270 60.00 60.00 60.00
Fractional coordinates of all 4 atoms:
Pa: 0.0000 0.0000 0.0000
Lu: 0.5000 0.5000 0.5000
Os: 0.2500 0.2500 0.2500
Os: 0.7500 0.7500 0.7500

Summary:
E_form, kJ per mole of atoms: -29

***

No. 3
# KGaCuF6

An optimized crystal structure of KGaCuF6 (PBE, the Materials Project database).

Lattice parameters (Å, degrees): 10.1154 6.8319 7.4352 85.62 90.00 90.00
Fractional coordinates of all 36 atoms:
Ga: 0.0000 0.0000 0.0000
K: 0.3841 0.0002 0.2410
F: 0.8195 0.0982 0.4898
Cu: 0.7330 0.1840 0.2574
F: 0.1680 0.5771 0.7549
Cu: 0.2330 0.3160 0.7426
K: 0.6159 0.9998 0.7590
F: 0.4425 0.7509 0.5512
F: 0.8320 0.4229 0.2451
F: 0.5575 0.2491 0.4488
F: 0.6805 0.5982 0.4898
F: 0.4079 0.7411 0.9234
F: 0.1602 0.8644 0.0281
Ga: 0.5000 0.5000 0.0000
F: 0.8398 0.1356 0.9719
F: 0.5921 0.2589 0.0766
F: 0.0575 0.2509 0.5512
F: 0.6602 0.6356 0.9719
Ga: 0.0000 0.0000 0.5000
F: 0.9079 0.7589 0.0766
F: 0.9425 0.7491 0.4488
F: 0.1805 0.9018 0.5102
Cu: 0.2670 0.8160 0.7426
K: 0.8841 0.4998 0.7590
F: 0.4792 0.5847 0.2451
F: 0.5208 0.4153 0.7549
F: 0.6680 0.9229 0.2451
F: 0.3320 0.0771 0.7549
F: 0.3195 0.4018 0.5102
Ga: 0.5000 0.5000 0.5000
F: 0.0208 0.0847 0.2451
F: 0.0921 0.2411 0.9234
K: 0.1159 0.5002 0.2410
F: 0.9792 0.9153 0.7549
Cu: 0.7670 0.6840 0.2574
F: 0.3398 0.3644 0.0281

Summary:
Total energy after the MP2020 corrections, eV/atom: -4.83
E_form, kJ per mole of atoms: -254

***

No. 4
# Sr2HfNbO6

An optimized crystal structure of Sr2HfNbO6 (PBE, the Materials Project database).

Lattice parameters (Å, degrees): 5.8215 5.8215 5.8215 60.00 60.00 60.00
Fractional coordinates of all 10 atoms:
O: 0.2516 0.2516 0.7484
Nb: 0.5000 0.5000 0.5000
O: 0.7484 0.2516 0.2516
Sr: 0.2500 0.2500 0.2500
O: 0.7484 0.7484 0.2516
Sr: 0.7500 0.7500 0.7500
O: 0.7484 0.2516 0.7484
O: 0.2516 0.7484 0.2516
Hf: 0.0000 0.0000 0.0000
O: 0.2516 0.7484 0.7484

Summary:
Total energy after the MP2020 corrections, eV/atom: -8.75
E_form, kJ per mole of atoms: -332

***

Question: Which of these has the highest E_form?
Answer: LuPaOs2

***

Question: Look up the E_form of the first one.
Answer: -60 kJ per mole of atoms

***

Question: What is the E_form in the fourth record?
Answer: -332 kJ per mole of atoms

***

Question: Which of these has the lowest E_form?
Answer: Sr2HfNbO6